Record 1
A plane-wave DFT calculation with GGA-PBE was carried out for an optimized crystal structure of KSiO3.

Geometry as POSCAR:
```
KSiO3
1.0
-10.590 2.706 -1.305
0.776 -0.709 -7.768
-1.301 -8.130 -6.303
O Si K
24 8 8
Direct
0.826 0.506 0.456 O
0.891 0.719 0.842 O
0.791 0.501 0.161 O
0.609 0.719 0.342 O
0.886 0.273 0.065 O
0.961 0.060 0.838 O
0.291 0.499 0.339 O
0.386 0.727 0.435 O
0.209 0.499 0.839 O
0.674 0.506 0.956 O
0.539 0.060 0.338 O
0.114 0.727 0.935 O
0.964 0.938 0.397 O
0.461 0.940 0.662 O
0.464 0.062 0.103 O
0.109 0.281 0.158 O
0.039 0.940 0.162 O
0.326 0.494 0.044 O
0.614 0.273 0.565 O
0.391 0.281 0.658 O
0.536 0.938 0.897 O
0.174 0.494 0.544 O
0.036 0.062 0.603 O
0.709 0.501 0.661 O
0.187 0.501 0.992 Si
0.500 0.106 0.696 Si
0.687 0.499 0.508 Si
0.000 0.894 0.804 Si
0.813 0.499 0.008 Si
0.000 0.106 0.196 Si
0.500 0.894 0.304 Si
0.313 0.501 0.492 Si
0.251 0.002 0.985 K
0.749 0.998 0.015 K
0.476 0.501 0.821 K
0.249 0.002 0.485 K
0.976 0.499 0.679 K
0.751 0.998 0.515 K
0.524 0.499 0.179 K
0.024 0.501 0.321 K
```

## Properties
The space group is No. 14. For the total DFT energy (no corrections), the calculation gives -6.331 eV/atom. The formation energy from the elements is -2467 meV/atom.



Record 2
A plane-wave DFT calculation with GGA-PBE was carried out for an optimized crystal structure of K2Si2O5.

Geometry as POSCAR:
```
K2Si2O5
1.0
5.711 8.338 0.000
-5.711 8.338 0.000
0.000 4.464 9.061
K O Si
12 30 12
Direct
0.835 0.286 0.124 K
0.638 0.684 0.966 K
0.203 0.231 0.521 K
0.615 0.099 0.930 K
0.286 0.835 0.624 K
0.099 0.615 0.430 K
0.435 0.961 0.783 K
0.144 0.676 0.021 K
0.676 0.144 0.521 K
0.231 0.203 0.021 K
0.684 0.638 0.466 K
0.961 0.435 0.283 K
0.177 0.436 0.717 O
0.738 0.905 0.746 O
0.440 0.234 0.743 O
0.905 0.738 0.246 O
0.416 0.930 0.067 O
0.445 0.677 0.839 O
0.394 0.433 0.485 O
0.930 0.416 0.567 O
0.999 0.966 0.558 O
0.923 0.938 0.347 O
0.234 0.440 0.243 O
0.873 0.209 0.839 O
0.041 0.160 0.286 O
0.407 0.521 0.703 O
0.699 0.008 0.233 O
0.966 0.999 0.058 O
0.209 0.873 0.339 O
0.008 0.699 0.733 O
0.442 0.665 0.263 O
0.433 0.394 0.985 O
0.938 0.923 0.847 O
0.665 0.442 0.763 O
0.030 0.482 0.990 O
0.521 0.407 0.203 O
0.475 0.884 0.324 O
0.482 0.030 0.490 O
0.436 0.177 0.217 O
0.884 0.475 0.824 O
0.160 0.041 0.786 O
0.677 0.445 0.339 O
0.994 0.045 0.875 Si
0.397 0.361 0.167 Si
0.522 0.026 0.324 Si
0.846 0.385 0.737 Si
0.385 0.846 0.237 Si
0.026 0.522 0.824 Si
0.514 0.487 0.326 Si
0.361 0.397 0.667 Si
0.045 0.994 0.375 Si
0.874 0.910 0.221 Si
0.487 0.514 0.826 Si
0.910 0.874 0.721 Si
```

## Properties
The space group is No. 9. For the total DFT energy (no corrections), the calculation gives -6.725 eV/atom. The formation energy from the elements is -2905 meV/atom.



Q: What is the formation energy from the elements in the second record?
A: -2905 meV/atom